1.
The following is a DFT calculation (PBE-GGA) of an optimized crystal structure of Ca3Sc2Ge3O12.

Cell: 12.650 12.650 12.650 Å, 90.00 90.00 90.00°
Space group Ia-3d (No. 230)
Unique sites:
1 Ca 0.000 0.250 0.125
2 Sc 0.000 0.000 0.000
3 Ge 0.000 0.250 0.375
4 O 0.034 0.052 0.655

energy relative to the elements: -3.105 eV per atom
total DFT energy (no corrections): -1166.29 eV per cell

***

2.
The following is a DFT calculation (PBE-GGA) of an optimized crystal structure of LaZrO3.

Cell: 4.194 4.194 4.194 Å, 90.00 90.00 90.00°
Space group Pm-3m (No. 221)
Unique sites:
1 La 0.000 0.000 0.000
2 Zr 0.500 0.500 0.500
3 O 0.000 0.500 0.500

energy relative to the elements: -3.428 eV per atom
total DFT energy (no corrections): -43.41 eV per cell

***

3.
The following is a DFT calculation (PBE-GGA) of an optimized crystal structure of HgNCl3.

Cell: 4.130 4.130 8.012 Å, 90.00 90.00 90.00°
Space group P4/mmm (No. 123)
Unique sites:
1 Hg 0.000 0.000 0.000
2 N 0.500 0.500 0.500
3 Cl 0.000 0.000 0.293
4 Cl 0.500 0.500 0.000

energy relative to the elements: 0.515 eV per atom
total DFT energy (no corrections): -9.77 eV per cell

***

4.
The following is a DFT calculation (PBE-GGA) of an optimized crystal structure of Nb3Re3B4.

Cell: 3.113 8.178 9.630 Å, 90.00 90.00 90.00°
Space group Amm2 (No. 38)
Unique sites:
1 Nb 0.000 0.000 0.000
2 Nb 0.500 0.205 0.446
3 Re 0.000 0.000 0.294
4 Re 0.000 0.173 0.708
5 B 0.500 0.000 0.618
6 B 0.500 0.000 0.810
7 B 0.500 0.122 0.166

energy relative to the elements: -0.346 eV per atom
total DFT energy (no corrections): -195.64 eV per cell

***

5.
The following is a DFT calculation (PBE-GGA) of an optimized crystal structure of CuBO2.

Cell: 2.5343 2.5343 16.6879 Å, 90.00 90.00 120.00°
Space group R-3m (No. 166, hexagonal axes)
Unique sites:
1 Cu 0.0000 0.0000 0.0000
2 B 0.0000 0.0000 0.5000
3 O 0.0000 0.0000 0.1143

energy relative to the elements: -1.360 eV per atom
total DFT energy (no corrections): -74.22 eV per cell

***

6.
The following is a DFT calculation (PBE-GGA) of an optimized crystal structure of K2ZnCl4.

Cell: 27.093 12.559 7.365 Å, 90.00 90.00 90.00°
Space group Pna2_1 (No. 33)
Unique sites:
1 K 0.002 0.187 0.000
2 K 0.043 0.419 0.507
3 K 0.120 0.915 0.029
4 K 0.166 0.686 0.555
5 K 0.168 0.313 0.071
6 K 0.210 0.083 0.572
7 Zn 0.072 0.081 0.544
8 Zn 0.095 0.582 0.014
9 Zn 0.240 0.418 0.557
10 Cl 0.008 0.944 0.120
11 Cl 0.056 0.421 0.978
12 Cl 0.065 0.694 0.795
13 Cl 0.070 0.651 0.284
14 Cl 0.084 0.200 0.316
15 Cl 0.111 0.143 0.802
16 Cl 0.112 0.925 0.477
17 Cl 0.159 0.436 0.489
18 Cl 0.177 0.563 0.980
19 Cl 0.221 0.075 0.128
20 Cl 0.222 0.862 0.792
21 Cl 0.244 0.794 0.275

energy relative to the elements: -1.998 eV per atom
total DFT energy (no corrections): -268.89 eV per cell

***

7.
The following is a DFT calculation (PBE-GGA) of an optimized crystal structure of Tm2Sc3Si4.

Cell: 7.059 13.930 7.346 Å, 90.00 90.00 90.00°
Space group Pnma (No. 62)
Unique sites:
1 Tm 0.012 0.097 0.176
2 Sc 0.161 0.750 0.504
3 Sc 0.170 0.125 0.677
4 Si 0.033 0.750 0.116
5 Si 0.159 0.539 0.465
6 Si 0.215 0.250 0.372

energy relative to the elements: -0.791 eV per atom
total DFT energy (no corrections): -228.20 eV per cell

***

8.
The following is a DFT calculation (PBE-GGA) of an optimized crystal structure of RbMg6AlO8.

Cell: 4.602 4.602 8.481 Å, 90.00 90.00 90.00°
Space group P4/mmm (No. 123)
Unique sites:
1 Rb 0.000 0.000 0.000
2 Mg 0.000 0.500 0.248
3 Mg 0.500 0.500 0.000
4 Mg 0.500 0.500 0.500
5 Al 0.000 0.000 0.500
6 O 0.000 0.000 0.295
7 O 0.000 0.500 0.000
8 O 0.000 0.500 0.500
9 O 0.500 0.500 0.253

energy relative to the elements: -2.553 eV per atom
total DFT energy (no corrections): -89.27 eV per cell